Entry 1:
# PBE CeGa4Co9, optimized geometry
data_CeGa4Co9
_symmetry_space_group_name_H-M 'P 1'
_symmetry_Int_Tables_number 1
_symmetry_space_group_name_Hall 'P 1'
_cell_length_a 8.104
_cell_length_b 8.104
_cell_length_c 8.104
_cell_angle_alpha 121.17
_cell_angle_beta 121.17
_cell_angle_gamma 87.99
loop_
_atom_site_label
_atom_site_type_symbol
_atom_site_fract_x
_atom_site_fract_y
_atom_site_fract_z
Ce1 Ce 0.250 0.250 0.000
Ce2 Ce 0.750 0.750 0.000
Ga1 Ga 0.057 0.557 0.861
Ga2 Ga 0.195 0.057 0.500
Ga3 Ga 0.305 0.805 0.861
Ga4 Ga 0.443 0.305 0.500
Ga5 Ga 0.557 0.695 0.500
Ga6 Ga 0.695 0.195 0.139
Ga7 Ga 0.805 0.943 0.500
Ga8 Ga 0.943 0.443 0.139
Co1 Co 0.000 0.500 0.500
Co2 Co 0.062 0.201 0.262
Co3 Co 0.062 0.789 0.500
Co4 Co 0.201 0.938 0.139
Co5 Co 0.211 0.711 0.273
Co6 Co 0.289 0.562 0.500
Co7 Co 0.299 0.438 0.738
Co8 Co 0.438 0.701 0.139
Co9 Co 0.438 0.938 0.727
Co10 Co 0.500 0.000 0.500
Co11 Co 0.562 0.062 0.273
Co12 Co 0.562 0.299 0.861
Co13 Co 0.701 0.562 0.262
Co14 Co 0.711 0.438 0.500
Co15 Co 0.789 0.289 0.727
Co16 Co 0.799 0.062 0.861
Co17 Co 0.938 0.211 0.500
Co18 Co 0.938 0.799 0.738
# Total DFT energy (no corrections), eV/atom: -6.089
# Formation energy, meV per atom: -230.4

=====

Entry 2:
# PBE BeH8N2F4, optimized geometry
data_BeH8N2F4
_symmetry_space_group_name_H-M 'P 1'
_symmetry_Int_Tables_number 1
_symmetry_space_group_name_Hall 'P 1'
_cell_length_a 15.298
_cell_length_b 5.987
_cell_length_c 10.772
_cell_angle_alpha 90.00
_cell_angle_beta 90.00
_cell_angle_gamma 90.00
loop_
_atom_site_label
_atom_site_type_symbol
_atom_site_fract_x
_atom_site_fract_y
_atom_site_fract_z
Be1 Be 0.001 0.241 0.000
Be2 Be 0.250 0.256 0.662
Be3 Be 0.250 0.756 0.162
Be4 Be 0.499 0.741 0.500
Be5 Be 0.501 0.259 0.000
Be6 Be 0.750 0.244 0.662
Be7 Be 0.750 0.744 0.162
Be8 Be 0.999 0.759 0.500
H1 H 0.033 0.587 0.157
H2 H 0.039 0.221 0.704
H3 H 0.045 0.858 0.109
H4 H 0.049 0.369 0.404
H5 H 0.065 0.781 0.260
H6 H 0.087 0.098 0.402
H7 H 0.093 0.716 0.729
H8 H 0.118 0.281 0.291
H9 H 0.133 0.759 0.873
H10 H 0.157 0.303 0.437
H11 H 0.166 0.921 0.755
H12 H 0.179 0.293 0.911
H13 H 0.200 0.648 0.763
H14 H 0.207 0.368 0.058
H15 H 0.214 0.798 0.453
H16 H 0.219 0.098 0.007
H17 H 0.281 0.598 0.507
H18 H 0.286 0.298 0.953
H19 H 0.293 0.868 0.558
H20 H 0.300 0.148 0.263
H21 H 0.321 0.793 0.411
H22 H 0.334 0.421 0.255
H23 H 0.343 0.803 0.937
H24 H 0.367 0.259 0.373
H25 H 0.382 0.781 0.791
H26 H 0.407 0.216 0.229
H27 H 0.413 0.598 0.902
H28 H 0.435 0.281 0.760
H29 H 0.451 0.869 0.904
H30 H 0.455 0.358 0.609
H31 H 0.461 0.721 0.204
H32 H 0.467 0.087 0.657
H33 H 0.533 0.913 0.157
H34 H 0.539 0.279 0.704
H35 H 0.545 0.642 0.109
H36 H 0.549 0.131 0.404
H37 H 0.565 0.719 0.260
H38 H 0.587 0.402 0.402
H39 H 0.593 0.784 0.729
H40 H 0.618 0.219 0.291
H41 H 0.633 0.741 0.873
H42 H 0.657 0.197 0.437
H43 H 0.666 0.579 0.755
H44 H 0.679 0.207 0.911
H45 H 0.700 0.852 0.763
H46 H 0.707 0.132 0.058
H47 H 0.714 0.702 0.453
H48 H 0.719 0.402 0.007
H49 H 0.781 0.902 0.507
H50 H 0.786 0.202 0.953
H51 H 0.793 0.632 0.558
H52 H 0.800 0.352 0.263
H53 H 0.821 0.707 0.411
H54 H 0.834 0.079 0.255
H55 H 0.843 0.697 0.937
H56 H 0.867 0.241 0.373
H57 H 0.882 0.719 0.791
H58 H 0.907 0.284 0.229
H59 H 0.913 0.902 0.902
H60 H 0.935 0.219 0.760
H61 H 0.951 0.631 0.904
H62 H 0.955 0.142 0.609
H63 H 0.961 0.779 0.204
H64 H 0.967 0.413 0.657
N1 N 0.026 0.753 0.183
N2 N 0.102 0.264 0.383
N3 N 0.149 0.759 0.780
N4 N 0.222 0.266 0.982
N5 N 0.278 0.766 0.482
N6 N 0.351 0.259 0.280
N7 N 0.398 0.764 0.883
N8 N 0.474 0.253 0.683
N9 N 0.526 0.747 0.183
N10 N 0.602 0.236 0.383
N11 N 0.649 0.741 0.780
N12 N 0.722 0.234 0.982
N13 N 0.778 0.734 0.482
N14 N 0.851 0.241 0.280
N15 N 0.898 0.736 0.883
N16 N 0.974 0.247 0.683
F1 F 0.002 0.704 0.643
F2 F 0.037 0.450 0.931
F3 F 0.056 0.024 0.980
F4 F 0.094 0.809 0.446
F5 F 0.154 0.206 0.710
F6 F 0.196 0.539 0.184
F7 F 0.216 0.965 0.233
F8 F 0.250 0.312 0.519
F9 F 0.250 0.812 0.019
F10 F 0.284 0.465 0.733
F11 F 0.304 0.039 0.684
F12 F 0.346 0.706 0.210
F13 F 0.406 0.309 0.946
F14 F 0.444 0.524 0.480
F15 F 0.463 0.950 0.431
F16 F 0.498 0.204 0.143
F17 F 0.502 0.796 0.643
F18 F 0.537 0.050 0.931
F19 F 0.556 0.476 0.980
F20 F 0.594 0.691 0.446
F21 F 0.654 0.294 0.710
F22 F 0.696 0.961 0.184
F23 F 0.716 0.535 0.233
F24 F 0.750 0.188 0.519
F25 F 0.750 0.688 0.019
F26 F 0.784 0.035 0.733
F27 F 0.804 0.461 0.684
F28 F 0.846 0.794 0.210
F29 F 0.906 0.191 0.946
F30 F 0.944 0.976 0.480
F31 F 0.963 0.550 0.431
F32 F 0.998 0.296 0.143
# Total DFT energy (no corrections), eV/atom: -5.076
# Formation energy, meV per atom: -1518.3

=====

Entry 3:
# PBE Ba6LiNb2IrCl2O12, optimized geometry
data_Ba6LiNb2IrCl2O12
_symmetry_space_group_name_H-M 'P 1'
_symmetry_Int_Tables_number 1
_symmetry_space_group_name_Hall 'P 1'
_cell_length_a 6.002
_cell_length_b 6.034
_cell_length_c 15.407
_cell_angle_alpha 94.20
_cell_angle_beta 90.02
_cell_angle_gamma 119.78
loop_
_atom_site_label
_atom_site_type_symbol
_atom_site_fract_x
_atom_site_fract_y
_atom_site_fract_z
Ba1 Ba 0.000 0.000 0.000
Ba2 Ba 0.028 0.056 0.269
Ba3 Ba 0.068 0.134 0.683
Ba4 Ba 0.318 0.636 0.872
Ba5 Ba 0.349 0.698 0.124
Ba6 Ba 0.386 0.772 0.539
Li1 Li 0.491 0.980 0.732
Nb1 Nb 0.673 0.346 0.090
Nb2 Nb 0.747 0.493 0.722
Ir1 Ir 0.677 0.353 0.905
Cl1 Cl 0.039 0.078 0.480
Cl2 Cl 0.360 0.720 0.331
O1 O 0.091 0.683 0.679
O2 O 0.351 0.184 0.148
O3 O 0.412 0.253 0.801
O4 O 0.507 0.485 0.999
O5 O 0.518 0.038 0.986
O6 O 0.594 0.685 0.679
O7 O 0.596 0.193 0.636
O8 O 0.827 0.178 0.148
O9 O 0.841 0.252 0.801
O10 O 0.843 0.678 0.153
O11 O 0.845 0.688 0.843
O12 O 0.979 0.482 0.999
# Total DFT energy (no corrections), eV/atom: -6.844
# Formation energy, meV per atom: -2790.4

=====

Entry 4:
# PBE OsN, optimized geometry
data_OsN
_symmetry_space_group_name_H-M 'P 1'
_symmetry_Int_Tables_number 1
_symmetry_space_group_name_Hall 'P 1'
_cell_length_a 6.483
_cell_length_b 6.483
_cell_length_c 4.837
_cell_angle_alpha 90.00
_cell_angle_beta 90.00
_cell_angle_gamma 155.30
loop_
_atom_site_label
_atom_site_type_symbol
_atom_site_fract_x
_atom_site_fract_y
_atom_site_fract_z
Os1 Os 0.037 0.963 0.500
Os2 Os 0.345 0.655 0.400
Os3 Os 0.655 0.345 0.900
Os4 Os 0.963 0.037 0.000
N1 N 0.271 0.729 0.996
N2 N 0.362 0.638 0.827
N3 N 0.638 0.362 0.327
N4 N 0.729 0.271 0.496
# Total DFT energy (no corrections), eV/atom: -9.207
# Formation energy, meV per atom: 394.5

=====

Entry 5:
# PBE Hf7Au10, optimized geometry
data_Hf7Au10
_symmetry_space_group_name_H-M 'P 1'
_symmetry_Int_Tables_number 1
_symmetry_space_group_name_Hall 'P 1'
_cell_length_a 8.324
_cell_length_b 8.324
_cell_length_c 9.897
_cell_angle_alpha 90.00
_cell_angle_beta 90.00
_cell_angle_gamma 72.83
loop_
_atom_site_label
_atom_site_type_symbol
_atom_site_fract_x
_atom_site_fract_y
_atom_site_fract_z
Hf1 Hf 0.000 0.000 0.000
Hf2 Hf 0.007 0.493 0.250
Hf3 Hf 0.187 0.813 0.689
Hf4 Hf 0.190 0.190 0.500
Hf5 Hf 0.310 0.310 0.000
Hf6 Hf 0.313 0.687 0.189
Hf7 Hf 0.493 0.007 0.750
Hf8 Hf 0.500 0.500 0.500
Hf9 Hf 0.507 0.993 0.250
Hf10 Hf 0.687 0.313 0.811
Hf11 Hf 0.690 0.690 0.000
Hf12 Hf 0.810 0.810 0.500
Hf13 Hf 0.813 0.187 0.311
Hf14 Hf 0.993 0.507 0.750
Au1 Au 0.059 0.647 0.000
Au2 Au 0.105 0.895 0.398
Au3 Au 0.142 0.150 0.792
Au4 Au 0.147 0.559 0.500
Au5 Au 0.150 0.142 0.208
Au6 Au 0.350 0.358 0.708
Au7 Au 0.353 0.941 0.000
Au8 Au 0.358 0.350 0.292
Au9 Au 0.395 0.605 0.898
Au10 Au 0.441 0.853 0.500
Au11 Au 0.559 0.147 0.500
Au12 Au 0.605 0.395 0.102
Au13 Au 0.642 0.650 0.708
Au14 Au 0.647 0.059 0.000
Au15 Au 0.650 0.642 0.292
Au16 Au 0.850 0.858 0.792
Au17 Au 0.853 0.441 0.500
Au18 Au 0.858 0.850 0.208
Au19 Au 0.895 0.105 0.602
Au20 Au 0.941 0.353 0.000
# Total DFT energy (no corrections), eV/atom: -6.578
# Formation energy, meV per atom: -552.2

=====

Entry 6:
# PBE Mg3Sb, optimized geometry
data_Mg3Sb
_symmetry_space_group_name_H-M 'P 1'
_symmetry_Int_Tables_number 1
_symmetry_space_group_name_Hall 'P 1'
_cell_length_a 3.285
_cell_length_b 5.219
_cell_length_c 5.524
_cell_angle_alpha 90.00
_cell_angle_beta 90.00
_cell_angle_gamma 90.00
loop_
_atom_site_label
_atom_site_type_symbol
_atom_site_fract_x
_atom_site_fract_y
_atom_site_fract_z
Mg1 Mg 0.000 0.000 0.000
Mg2 Mg 0.000 0.500 0.333
Mg3 Mg 0.500 0.000 0.497
Sb1 Sb 0.500 0.500 0.831
# Total DFT energy (no corrections), eV/atom: -2.294
# Formation energy, meV per atom: -109.4

=====

Entry 7:
# PBE PrHg3, optimized geometry
data_PrHg3
_symmetry_space_group_name_H-M 'P 1'
_symmetry_Int_Tables_number 1
_symmetry_space_group_name_Hall 'P 1'
_cell_length_a 6.877
_cell_length_b 6.877
_cell_length_c 5.081
_cell_angle_alpha 90.00
_cell_angle_beta 90.00
_cell_angle_gamma 120.00
loop_
_atom_site_label
_atom_site_type_symbol
_atom_site_fract_x
_atom_site_fract_y
_atom_site_fract_z
Pr1 Pr 0.333 0.667 0.250
Pr2 Pr 0.667 0.333 0.750
Hg1 Hg 0.163 0.326 0.750
Hg2 Hg 0.163 0.837 0.750
Hg3 Hg 0.326 0.163 0.250
Hg4 Hg 0.674 0.837 0.750
Hg5 Hg 0.837 0.163 0.250
Hg6 Hg 0.837 0.674 0.250
# Total DFT energy (no corrections), eV/atom: -1.825
# Formation energy, meV per atom: -402.4

=====

Entry 8:
# PBE K2BaBi3O9, optimized geometry
data_K2BaBi3O9
_symmetry_space_group_name_H-M 'P 1'
_symmetry_Int_Tables_number 1
_symmetry_space_group_name_Hall 'P 1'
_cell_length_a 6.104
_cell_length_b 6.104
_cell_length_c 7.481
_cell_angle_alpha 90.00
_cell_angle_beta 90.00
_cell_angle_gamma 120.00
loop_
_atom_site_label
_atom_site_type_symbol
_atom_site_fract_x
_atom_site_fract_y
_atom_site_fract_z
K1 K 0.333 0.667 0.165
K2 K 0.667 0.333 0.835
Ba1 Ba 0.000 0.000 0.500
Bi1 Bi 0.000 0.000 0.000
Bi2 Bi 0.333 0.667 0.670
Bi3 Bi 0.667 0.333 0.330
O1 O 0.000 0.500 0.500
O2 O 0.161 0.322 0.823
O3 O 0.161 0.839 0.823
O4 O 0.322 0.161 0.177
O5 O 0.500 0.000 0.500
O6 O 0.500 0.500 0.500
O7 O 0.678 0.839 0.823
O8 O 0.839 0.161 0.177
O9 O 0.839 0.678 0.177
# Total DFT energy (no corrections), eV/atom: -5.387
# Formation energy, meV per atom: -1776.7

=====

Entry 9:
# PBE BaCuP2O7, optimized geometry
data_BaCuP2O7
_symmetry_space_group_name_H-M 'P 1'
_symmetry_Int_Tables_number 1
_symmetry_space_group_name_Hall 'P 1'
_cell_length_a 5.277
_cell_length_b 7.668
_cell_length_c 7.681
_cell_angle_alpha 103.60
_cell_angle_beta 91.67
_cell_angle_gamma 95.40
loop_
_atom_site_label
_atom_site_type_symbol
_atom_site_fract_x
_atom_site_fract_y
_atom_site_fract_z
Ba1 Ba 0.193 0.277 0.429
Ba2 Ba 0.807 0.723 0.571
Cu1 Cu 0.180 0.144 0.903
Cu2 Cu 0.820 0.856 0.097
P1 P 0.287 0.692 0.900
P2 P 0.311 0.766 0.280
P3 P 0.689 0.234 0.720
P4 P 0.713 0.308 0.100
O1 O 0.090 0.889 0.295
O2 O 0.093 0.836 0.916
O3 O 0.213 0.532 0.745
O4 O 0.272 0.624 0.086
O5 O 0.299 0.658 0.423
O6 O 0.426 0.124 0.712
O7 O 0.437 0.222 0.104
O8 O 0.563 0.778 0.896
O9 O 0.574 0.876 0.288
O10 O 0.701 0.342 0.577
O11 O 0.728 0.376 0.914
O12 O 0.787 0.468 0.255
O13 O 0.907 0.164 0.084
O14 O 0.910 0.111 0.705
# Total DFT energy (no corrections), eV/atom: -6.891
# Formation energy, meV per atom: -2648.4

=====

Entry 10:
# PBE HfAlPt, optimized geometry
data_HfAlPt
_symmetry_space_group_name_H-M 'P 1'
_symmetry_Int_Tables_number 1
_symmetry_space_group_name_Hall 'P 1'
_cell_length_a 7.127
_cell_length_b 7.127
_cell_length_c 3.610
_cell_angle_alpha 90.00
_cell_angle_beta 90.00
_cell_angle_gamma 120.00
loop_
_atom_site_label
_atom_site_type_symbol
_atom_site_fract_x
_atom_site_fract_y
_atom_site_fract_z
Hf1 Hf 0.000 0.401 0.000
Hf2 Hf 0.401 0.000 0.000
Hf3 Hf 0.599 0.599 0.000
Al1 Al 0.000 0.742 0.500
Al2 Al 0.258 0.258 0.500
Al3 Al 0.742 0.000 0.500
Pt1 Pt 0.000 0.000 0.000
Pt2 Pt 0.333 0.667 0.500
Pt3 Pt 0.667 0.333 0.500
# Total DFT energy (no corrections), eV/atom: -7.629
# Formation energy, meV per atom: -1037.8

=====

Entry 11:
# PBE Tl2BiP2S7, optimized geometry
data_Tl2BiP2S7
_symmetry_space_group_name_H-M 'P 1'
_symmetry_Int_Tables_number 1
_symmetry_space_group_name_Hall 'P 1'
_cell_length_a 12.271
_cell_length_b 12.271
_cell_length_c 19.095
_cell_angle_alpha 118.59
_cell_angle_beta 118.59
_cell_angle_gamma 32.25
loop_
_atom_site_label
_atom_site_type_symbol
_atom_site_fract_x
_atom_site_fract_y
_atom_site_fract_z
Tl1 Tl 0.023 0.963 0.618
Tl2 Tl 0.037 0.977 0.882
Tl3 Tl 0.321 0.327 0.973
Tl4 Tl 0.327 0.321 0.473
Tl5 Tl 0.673 0.679 0.527
Tl6 Tl 0.679 0.673 0.027
Tl7 Tl 0.963 0.023 0.118
Tl8 Tl 0.977 0.037 0.382
Bi1 Bi 0.286 0.387 0.253
Bi2 Bi 0.387 0.286 0.753
Bi3 Bi 0.613 0.714 0.247
Bi4 Bi 0.714 0.613 0.747
P1 P 0.165 0.166 0.138
P2 P 0.166 0.165 0.638
P3 P 0.430 0.472 0.192
P4 P 0.472 0.430 0.692
P5 P 0.528 0.570 0.308
P6 P 0.570 0.528 0.808
P7 P 0.834 0.835 0.362
P8 P 0.835 0.834 0.862
S1 S 0.129 0.666 0.412
S2 S 0.133 0.676 0.196
S3 S 0.140 0.641 0.893
S4 S 0.173 0.262 0.762
S5 S 0.184 0.616 0.698
S6 S 0.221 0.243 0.098
S7 S 0.243 0.221 0.598
S8 S 0.262 0.173 0.262
S9 S 0.324 0.867 0.304
S10 S 0.334 0.871 0.088
S11 S 0.359 0.860 0.607
S12 S 0.384 0.816 0.802
S13 S 0.454 0.488 0.102
S14 S 0.488 0.454 0.602
S15 S 0.512 0.546 0.398
S16 S 0.546 0.512 0.898
S17 S 0.616 0.184 0.198
S18 S 0.641 0.140 0.393
S19 S 0.666 0.129 0.912
S20 S 0.676 0.133 0.696
S21 S 0.738 0.827 0.738
S22 S 0.757 0.779 0.402
S23 S 0.779 0.757 0.902
S24 S 0.816 0.384 0.302
S25 S 0.827 0.738 0.238
S26 S 0.860 0.359 0.107
S27 S 0.867 0.324 0.804
S28 S 0.871 0.334 0.588
# Total DFT energy (no corrections), eV/atom: -4.414
# Formation energy, meV per atom: -674.1

=====

Entry 12:
# PBE ZnSb2O4, optimized geometry
data_ZnSb2O4
_symmetry_space_group_name_H-M 'P 1'
_symmetry_Int_Tables_number 1
_symmetry_space_group_name_Hall 'P 1'
_cell_length_a 6.685
_cell_length_b 6.685
_cell_length_c 6.685
_cell_angle_alpha 60.00
_cell_angle_beta 60.00
_cell_angle_gamma 60.00
loop_
_atom_site_label
_atom_site_type_symbol
_atom_site_fract_x
_atom_site_fract_y
_atom_site_fract_z
Zn1 Zn 0.125 0.125 0.125
Zn2 Zn 0.875 0.875 0.875
Sb1 Sb 0.000 0.500 0.500
Sb2 Sb 0.500 0.000 0.500
Sb3 Sb 0.500 0.500 0.000
Sb4 Sb 0.500 0.500 0.500
O1 O 0.251 0.251 0.251
O2 O 0.251 0.251 0.747
O3 O 0.251 0.747 0.251
O4 O 0.253 0.749 0.749
O5 O 0.747 0.251 0.251
O6 O 0.749 0.253 0.749
O7 O 0.749 0.749 0.253
O8 O 0.749 0.749 0.749
# Total DFT energy (no corrections), eV/atom: -5.197
# Formation energy, meV per atom: -1402.9